VASP calculation (PBE) on crystalline Ca2CdBr6O12 at its relaxed geometry.

Output
Excess energy over the best structure of this formula in the dataset ... 0.000 eV/f.u.
E_tot ... -168.88 eV/cell

Cell lengths 8.7210, 8.7210, 16.5548 Å; angles 111.46, 111.46, 65.35 degrees
Fractional positions:
Ca (0.1147, 0.1554, 0.0178)
Ca (0.1554, 0.1147, 0.5178)
Ca (0.8446, 0.8853, 0.4822)
Ca (0.8853, 0.8446, 0.9822)
Cd (0.5000, 0.5000, 0.0000)
Cd (0.5000, 0.5000, 0.5000)
Br (0.1188, 0.4085, 0.8647)
Br (0.2329, 0.7389, 0.6271)
Br (0.2346, 0.7104, 0.3798)
Br (0.2611, 0.7671, 0.8729)
Br (0.2896, 0.7654, 0.1202)
Br (0.4085, 0.1188, 0.3647)
Br (0.5915, 0.8812, 0.6353)
Br (0.7104, 0.2346, 0.8798)
Br (0.7389, 0.2329, 0.1271)
Br (0.7654, 0.2896, 0.6202)
Br (0.7671, 0.2611, 0.3729)
Br (0.8812, 0.5915, 0.1353)
O (0.0165, 0.4142, 0.3665)
O (0.0505, 0.3954, 0.1313)
O (0.0604, 0.8836, 0.4281)
O (0.0642, 0.4290, 0.6077)
O (0.1053, 0.2898, 0.9234)
O (0.1164, 0.9396, 0.0719)
O (0.2898, 0.1053, 0.4234)
O (0.3590, 0.5120, 0.5846)
O (0.3954, 0.0505, 0.6313)
O (0.4142, 0.0165, 0.8665)
O (0.4290, 0.0642, 0.1077)
O (0.4880, 0.6410, 0.9154)
O (0.5120, 0.3590, 0.0846)
O (0.5710, 0.9358, 0.8923)
O (0.5858, 0.9835, 0.1335)
O (0.6046, 0.9495, 0.3687)
O (0.6410, 0.4880, 0.4154)
O (0.7102, 0.8947, 0.5766)
O (0.8836, 0.0604, 0.9281)
O (0.8947, 0.7102, 0.0766)
O (0.9358, 0.5710, 0.3923)
O (0.9396, 0.1164, 0.5719)
O (0.9495, 0.6046, 0.8687)
O (0.9835, 0.5858, 0.6335)



VASP calculation (PBE) on crystalline Ca2CdBr6O12 at its relaxed geometry.

Output
Excess energy over the best structure of this formula in the dataset ... 0.806 eV/f.u.
E_tot ... -167.27 eV/cell

Cell lengths 8.2890, 8.2890, 14.7742 Å; angles 107.32, 107.32, 68.10 degrees
Fractional positions:
Ca (0.1236, 0.6343, 0.9668)
Ca (0.3657, 0.8764, 0.5332)
Ca (0.6343, 0.1236, 0.4668)
Ca (0.8764, 0.3657, 0.0332)
Cd (0.0000, 0.5000, 0.5000)
Cd (0.5000, 0.0000, 0.0000)
Br (0.0308, 0.2729, 0.6385)
Br (0.1301, 0.1739, 0.3797)
Br (0.1739, 0.1301, 0.8797)
Br (0.2729, 0.0308, 0.1385)
Br (0.3403, 0.4666, 0.6144)
Br (0.4666, 0.3403, 0.1144)
Br (0.5334, 0.6597, 0.8856)
Br (0.6597, 0.5334, 0.3856)
Br (0.7271, 0.9692, 0.8615)
Br (0.8261, 0.8698, 0.1203)
Br (0.8698, 0.8261, 0.6203)
Br (0.9692, 0.7271, 0.3615)
O (0.0584, 0.3572, 0.9313)
O (0.1048, 0.8572, 0.4168)
O (0.1433, 0.2484, 0.1308)
O (0.1428, 0.8952, 0.0832)
O (0.2484, 0.1433, 0.6308)
O (0.2941, 0.6856, 0.5962)
O (0.3100, 0.5001, 0.3568)
O (0.3144, 0.7059, 0.9038)
O (0.3365, 0.3742, 0.8542)
O (0.3572, 0.0584, 0.4313)
O (0.3742, 0.3365, 0.3542)
O (0.5001, 0.3100, 0.8568)
O (0.4999, 0.6900, 0.1432)
O (0.6258, 0.6635, 0.6458)
O (0.6428, 0.9416, 0.5687)
O (0.6635, 0.6258, 0.1458)
O (0.6856, 0.2941, 0.0962)
O (0.6900, 0.4999, 0.6432)
O (0.7059, 0.3144, 0.4038)
O (0.7516, 0.8567, 0.3692)
O (0.8572, 0.1048, 0.9168)
O (0.8567, 0.7516, 0.8692)
O (0.8952, 0.1428, 0.5832)
O (0.9416, 0.6428, 0.0687)



VASP calculation (PBE) on crystalline CsCaBr3 at its relaxed geometry.

Output
E_tot ... -17.74 eV/cell

Cell lengths 5.7726, 5.7726, 5.7726 Å; angles 90.00, 90.00, 90.00 degrees
Fractional positions:
Cs (0.0000, 0.0000, 0.0000)
Ca (0.5000, 0.5000, 0.5000)
Br (0.0000, 0.5000, 0.5000)
Br (0.5000, 0.0000, 0.5000)
Br (0.5000, 0.5000, 0.0000)



VASP calculation (PBE) on crystalline Ca2Nb3CuBrO10 at its relaxed geometry.

Output
E_tot ... -129.93 eV/cell

Cell lengths 3.9690, 3.9690, 15.8402 Å; angles 90.00, 90.00, 90.00 degrees
Fractional positions:
Ca (0.0000, 0.0000, 0.1437)
Ca (0.0000, 0.0000, 0.8563)
Nb (0.5000, 0.5000, 0.0000)
Nb (0.5000, 0.5000, 0.2679)
Nb (0.5000, 0.5000, 0.7321)
Cu (0.5000, 0.5000, 0.5000)
Br (0.0000, 0.0000, 0.5000)
O (0.0000, 0.5000, 0.0000)
O (0.0000, 0.5000, 0.2403)
O (0.0000, 0.5000, 0.7597)
O (0.5000, 0.0000, 0.0000)
O (0.5000, 0.0000, 0.2403)
O (0.5000, 0.0000, 0.7597)
O (0.5000, 0.5000, 0.1246)
O (0.5000, 0.5000, 0.3823)
O (0.5000, 0.5000, 0.6177)
O (0.5000, 0.5000, 0.8754)



VASP calculation (PBE) on crystalline CaNb2CuBrO7 at its relaxed geometry.

Output
E_tot ... -87.12 eV/cell

Cell lengths 3.9576, 3.9576, 11.5694 Å; angles 90.00, 90.00, 90.00 degrees
Fractional positions:
Ca (0.0000, 0.0000, 0.0000)
Nb (0.5000, 0.5000, 0.1842)
Nb (0.5000, 0.5000, 0.8158)
Cu (0.5000, 0.5000, 0.5000)
Br (0.0000, 0.0000, 0.5000)
O (0.0000, 0.5000, 0.1544)
O (0.0000, 0.5000, 0.8456)
O (0.5000, 0.0000, 0.1544)
O (0.5000, 0.0000, 0.8456)
O (0.5000, 0.5000, 0.0000)
O (0.5000, 0.5000, 0.3448)
O (0.5000, 0.5000, 0.6552)



VASP calculation (PBE) on crystalline Ca3Cu2Br2O4 at its relaxed geometry.

Output
E_tot ... -57.85 eV/cell

Cell lengths 12.2696, 12.2696, 12.2696 Å; angles 161.81, 161.81, 25.84 degrees
Fractional positions:
Ca (0.0000, 0.0000, 0.0000)
Ca (0.1326, 0.1326, 0.0000)
Ca (0.8674, 0.8674, 0.0000)
Cu (0.4342, 0.4342, 0.0000)
Cu (0.5658, 0.5658, 0.0000)
Br (0.3079, 0.3079, 0.0000)
Br (0.6921, 0.6921, 0.0000)
O (0.0678, 0.5678, 0.5000)
O (0.4322, 0.9322, 0.5000)
O (0.5678, 0.0678, 0.5000)
O (0.9322, 0.4322, 0.5000)



VASP calculation (PBE) on crystalline Ca2Ta3CuBrO10 at its relaxed geometry.

Output
E_tot ... -138.62 eV/cell

Cell lengths 3.9433, 3.9433, 15.7864 Å; angles 90.00, 90.00, 90.00 degrees
Fractional positions:
Ca (0.0000, 0.0000, 0.1446)
Ca (0.0000, 0.0000, 0.8554)
Ta (0.5000, 0.5000, 0.0000)
Ta (0.5000, 0.5000, 0.2682)
Ta (0.5000, 0.5000, 0.7318)
Cu (0.5000, 0.5000, 0.5000)
Br (0.0000, 0.0000, 0.5000)
O (0.0000, 0.5000, 0.0000)
O (0.0000, 0.5000, 0.2413)
O (0.0000, 0.5000, 0.7587)
O (0.5000, 0.0000, 0.0000)
O (0.5000, 0.0000, 0.2413)
O (0.5000, 0.0000, 0.7587)
O (0.5000, 0.5000, 0.1247)
O (0.5000, 0.5000, 0.3820)
O (0.5000, 0.5000, 0.6180)
O (0.5000, 0.5000, 0.8753)



VASP calculation (PBE) on crystalline Ca2Br2F at its relaxed geometry.

Output
E_tot ... -16.96 eV/cell

Cell lengths 5.0077, 5.0077, 13.3207 Å; angles 90.00, 90.00, 90.00 degrees
Fractional positions:
Ca (0.0000, 0.0000, 0.1615)
Ca (0.0000, 0.0000, 0.8385)
Br (0.0000, 0.0000, 0.3528)
Br (0.0000, 0.0000, 0.6472)
F (0.0000, 0.0000, 0.0000)



VASP calculation (PBE) on crystalline CaHBr at its relaxed geometry.

Output
E_tot ... -22.08 eV/cell

Cell lengths 3.8494, 3.8494, 8.3382 Å; angles 90.00, 90.00, 90.00 degrees
Fractional positions:
Ca (0.2500, 0.2500, 0.1559)
Ca (0.7500, 0.7500, 0.8441)
H (0.2500, 0.7500, 0.0000)
H (0.7500, 0.2500, 0.0000)
Br (0.2500, 0.2500, 0.6806)
Br (0.7500, 0.7500, 0.3194)



VASP calculation (PBE) on crystalline Ca2H3Br at its relaxed geometry.

Output
E_tot ... -21.39 eV/cell

Cell lengths 3.9036, 3.9036, 6.9273 Å; angles 90.00, 90.00, 120.00 degrees
Fractional positions:
Ca (0.3333, 0.6667, 0.3160)
Ca (0.6667, 0.3333, 0.6840)
H (0.0000, 0.0000, 0.5000)
H (0.3333, 0.6667, 0.6458)
H (0.6667, 0.3333, 0.3542)
Br (0.0000, 0.0000, 0.0000)



VASP calculation (PBE) on crystalline Ca2HBr2 at its relaxed geometry.

Output
E_tot ... -13.11 eV/cell

Cell lengths 4.6137, 4.6137, 14.1884 Å; angles 90.00, 90.00, 90.00 degrees
Fractional positions:
Ca (0.0000, 0.0000, 0.1481)
Ca (0.0000, 0.0000, 0.8519)
H (0.0000, 0.0000, 0.0000)
Br (0.0000, 0.0000, 0.3274)
Br (0.0000, 0.0000, 0.6726)



VASP calculation (PBE) on crystalline CaHgH16Br4O8 at its relaxed geometry.

Output
Excess energy over the best structure of this formula in the dataset ... 0.764 eV/f.u.
E_tot ... -536.37 eV/cell

Cell lengths 10.5681, 10.5681, 15.0904 Å; angles 90.00, 90.00, 79.45 degrees
Fractional positions:
Ca (0.2490, 0.2490, 0.0000)
Ca (0.2510, 0.2510, 0.5000)
Ca (0.7490, 0.7490, 0.5000)
Ca (0.7510, 0.7510, 0.0000)
Hg (0.2230, 0.7770, 0.7192)
Hg (0.2770, 0.7230, 0.2192)
Hg (0.7230, 0.2770, 0.7808)
Hg (0.7770, 0.2230, 0.2808)
H (0.0051, 0.3507, 0.8926)
H (0.0226, 0.2063, 0.1351)
H (0.0278, 0.6125, 0.0108)
H (0.0395, 0.7417, 0.4454)
H (0.0473, 0.7978, 0.5405)
H (0.0685, 0.0910, 0.8919)
H (0.0910, 0.0685, 0.1081)
H (0.1125, 0.5278, 0.5108)
H (0.1229, 0.2262, 0.6794)
H (0.1228, 0.2456, 0.3132)
H (0.1493, 0.4949, 0.6074)
H (0.2022, 0.9527, 0.5405)
H (0.2063, 0.0226, 0.8649)
H (0.2262, 0.1229, 0.3206)
H (0.2417, 0.5395, 0.9454)
H (0.2456, 0.1228, 0.6868)
H (0.2544, 0.3772, 0.1868)
H (0.2583, 0.9605, 0.4454)
H (0.2738, 0.3771, 0.8206)
H (0.2937, 0.4774, 0.3649)
H (0.2978, 0.5473, 0.0405)
H (0.3507, 0.0051, 0.1074)
H (0.3772, 0.2544, 0.8132)
H (0.3771, 0.2738, 0.1794)
H (0.3875, 0.9722, 0.0108)
H (0.4090, 0.4315, 0.6081)
H (0.4315, 0.4090, 0.3919)
H (0.4527, 0.7022, 0.0405)
H (0.4605, 0.7583, 0.9454)
H (0.4722, 0.8875, 0.5108)
H (0.4774, 0.2937, 0.6351)
H (0.4949, 0.1493, 0.3926)
H (0.5051, 0.8507, 0.6074)
H (0.5226, 0.7063, 0.3649)
H (0.5278, 0.1125, 0.4892)
H (0.5395, 0.2417, 0.0546)
H (0.5473, 0.2978, 0.9595)
H (0.5685, 0.5910, 0.6081)
H (0.5910, 0.5685, 0.3919)
H (0.6125, 0.0278, 0.9892)
H (0.6229, 0.7262, 0.8206)
H (0.6228, 0.7456, 0.1868)
H (0.6493, 0.9949, 0.8926)
H (0.7022, 0.4527, 0.9595)
H (0.7063, 0.5226, 0.6351)
H (0.7262, 0.6229, 0.1794)
H (0.7417, 0.0395, 0.5546)
H (0.7456, 0.6228, 0.8132)
H (0.7544, 0.8772, 0.3132)
H (0.7583, 0.4605, 0.0546)
H (0.7738, 0.8771, 0.6794)
H (0.7937, 0.9774, 0.1351)
H (0.7978, 0.0473, 0.4595)
H (0.8507, 0.5051, 0.3926)
H (0.8772, 0.7544, 0.6868)
H (0.8771, 0.7738, 0.3206)
H (0.8875, 0.4722, 0.4892)
H (0.9090, 0.9315, 0.8919)
H (0.9315, 0.9090, 0.1081)
H (0.9527, 0.2022, 0.4595)
H (0.9605, 0.2583, 0.5546)
H (0.9722, 0.3875, 0.9892)
H (0.9774, 0.7937, 0.8649)
H (0.9949, 0.6493, 0.1074)
Br (0.0251, 0.9749, 0.7100)
Br (0.0956, 0.6217, 0.3024)
Br (0.1217, 0.5956, 0.8024)
Br (0.1875, 0.8125, 0.0638)
Br (0.3125, 0.6875, 0.5638)
Br (0.3783, 0.9044, 0.3024)
Br (0.4044, 0.8783, 0.8024)
Br (0.4749, 0.5251, 0.2100)
Br (0.5251, 0.4749, 0.7900)
Br (0.5956, 0.1217, 0.1976)
Br (0.6217, 0.0956, 0.6976)
Br (0.6875, 0.3125, 0.4362)
Br (0.8125, 0.1875, 0.9362)
Br (0.8783, 0.4044, 0.1976)
Br (0.9044, 0.3783, 0.6976)
Br (0.9749, 0.0251, 0.2900)
O (0.0097, 0.2388, 0.4996)
O (0.0433, 0.3744, 0.9474)
O (0.0791, 0.1591, 0.0901)
O (0.1256, 0.4567, 0.5526)
O (0.1591, 0.0791, 0.9099)
O (0.2027, 0.2106, 0.3441)
O (0.2106, 0.2027, 0.6559)
O (0.2388, 0.0097, 0.5004)
O (0.2612, 0.4903, 0.0004)
O (0.2894, 0.2973, 0.1559)
O (0.2973, 0.2894, 0.8441)
O (0.3409, 0.4209, 0.4099)
O (0.3744, 0.0433, 0.0526)
O (0.4209, 0.3409, 0.5901)
O (0.4567, 0.1256, 0.4474)
O (0.4903, 0.2612, 0.9996)
O (0.5097, 0.7388, 0.0004)
O (0.5433, 0.8744, 0.5526)
O (0.5791, 0.6591, 0.4099)
O (0.6256, 0.9567, 0.9474)
O (0.6591, 0.5791, 0.5901)
O (0.7027, 0.7106, 0.1559)
O (0.7106, 0.7027, 0.8441)
O (0.7388, 0.5097, 0.9996)
O (0.7612, 0.9903, 0.4996)
O (0.7894, 0.7973, 0.3441)
O (0.7973, 0.7894, 0.6559)
O (0.8409, 0.9209, 0.0901)
O (0.8744, 0.5433, 0.4474)
O (0.9209, 0.8409, 0.9099)
O (0.9567, 0.6256, 0.0526)
O (0.9903, 0.7612, 0.5004)